No. 1
Entry from the Materials Project database: a relaxed structure of Pu2O3 (PBE). Values from VASP.

```
&SYSTEM
  ibrav = 0, nat = 40, ntyp = 2
/
ATOMIC_SPECIES
Pu 244.00 Pu.upf
O 16.00 O.upf
ATOMIC_POSITIONS crystal
Pu 0.2760 0.2503 0.5258
O 0.0087 0.4736 0.7405
O 0.2643 0.0272 0.0354
Pu 0.2499 0.0253 0.7748
O 0.7685 0.5353 0.5083
Pu 0.0253 0.7747 0.2498
Pu 0.5258 0.2760 0.2502
O 0.0354 0.2643 0.0272
O 0.2406 0.7675 0.7321
O 0.7594 0.2326 0.2680
Pu 0.7747 0.2498 0.0253
Pu 0.5000 0.0000 0.5000
O 0.7405 0.0086 0.4736
Pu 0.7502 0.9747 0.2252
Pu 0.9747 0.2253 0.7501
O 0.9728 0.9647 0.7357
Pu 0.7497 0.4742 0.7241
O 0.7357 0.9728 0.9647
Pu 0.4742 0.7240 0.7498
O 0.4918 0.2314 0.4648
Pu 0.7240 0.7497 0.4742
O 0.0272 0.0353 0.2642
O 0.2680 0.7593 0.2325
O 0.2595 0.9914 0.5264
O 0.4736 0.7405 0.0087
O 0.9645 0.7357 0.9728
O 0.7320 0.2407 0.7674
Pu 0.0000 0.5000 0.5000
Pu 0.2252 0.7502 0.9747
O 0.2315 0.4647 0.4917
O 0.2325 0.2679 0.7593
O 0.4648 0.4918 0.2315
O 0.7675 0.7320 0.2407
Pu 0.5000 0.5000 0.0000
Pu 0.2503 0.5258 0.2759
O 0.5082 0.7686 0.5353
Pu 0.0000 0.0000 0.0000
O 0.9913 0.5264 0.2594
O 0.5352 0.5082 0.7685
O 0.5264 0.2595 0.9914
CELL_PARAMETERS angstrom
8.8932 0.0054 -3.1346
-4.4435 7.7099 -3.1388
0.0095 0.0114 9.4308
```

density	10996	kg/m³
symmetry	P-1 (2)
calculated total energy	-11.76	eV per atom
formation energy	-3.49	eV/atom

No. 2
Entry from the Materials Project database: a relaxed structure of H5W (PBE). Values from VASP.

```
&SYSTEM
  ibrav = 0, nat = 12, ntyp = 2
/
ATOMIC_SPECIES
H 1.01 H.upf
W 183.84 W.upf
ATOMIC_POSITIONS crystal
H 0.4548 0.2882 0.6059
H 0.9547 0.8063 0.5750
H 0.9547 0.1937 0.4250
H 0.9547 0.1937 0.0750
W 0.9548 0.1070 0.7500
W 0.9548 0.8930 0.2500
H 0.9547 0.8063 0.9250
H 0.4548 0.2882 0.8941
H 0.4548 0.7118 0.3941
H 0.4548 0.8760 0.7500
H 0.4548 0.7118 0.1059
H 0.4548 0.1240 0.2500
CELL_PARAMETERS angstrom
2.8469 0.0000 0.0000
0.0000 4.9516 0.0000
0.0000 0.0000 5.9860
```

density	7434	kg/m³
symmetry	Pmma (51)
calculated total energy	-4.68	eV per atom
formation energy	0.31	eV/atom
total magnetization	0.0	μB per formula unit
energy above the most stable polymorph in this dataset	0	meV per atom